# 1
{
  "formula": "ZnNi2O4",
  "functional": "PBE+U",
  "state": "relaxed",
  "vol_a3_per_cell": 143.29,
  "space_group": "I4_1/amd (141)",
  "energy_ha_per_atom": -0.1753,
  "de_polymorph_mev_per_atom": 1,
  "crystal_system": "tetragonal",
  "cell": [[-1.385, 4.830, -2.638], [4.965, -0.079, 3.353], [5.025, 0.000, -2.638]],
  "species": ["O", "O", "O", "O", "O", "O", "O", "O", "Zn", "Zn", "Ni", "Ni", "Ni", "Ni"],
  "frac_coords": [[0.763, 0.477, 0.761], [0.239, 0.977, 0.237], [0.237, 0.523, 0.239], [0.761, 0.023, 0.763], [0.239, 0.977, 0.786], [0.761, 0.023, 0.214], [0.214, 0.477, 0.761], [0.786, 0.523, 0.239], [0.375, 0.250, 0.375], [0.625, 0.750, 0.625], [0.000, 0.500, 0.500], [0.000, 0.000, 0.000], [0.000, 0.500, 0.000], [0.500, 0.000, 0.000]]
}

# 2
{
  "formula": "Li3Fe8B8O24",
  "functional": "PBE+U",
  "state": "relaxed",
  "vol_a3_per_cell": 484.37,
  "space_group": "P1 (1)",
  "energy_ha_per_atom": -0.2630,
  "de_polymorph_mev_per_atom": 10,
  "crystal_system": "triclinic",
  "cell": [[-5.228, 0.000, 0.000], [2.563, 4.580, 0.000], [-0.089, -0.224, -20.229]],
  "species": ["O", "O", "O", "O", "O", "O", "O", "O", "O", "O", "O", "O", "O", "O", "O", "O", "O", "O", "O", "O", "O", "O", "O", "O", "Fe", "Fe", "Fe", "Fe", "Fe", "Fe", "Fe", "Fe", "Li", "Li", "Li", "B", "B", "B", "B", "B", "B", "B", "B"],
  "frac_coords": [[0.693, 0.760, 0.188], [0.884, 0.269, 0.717], [0.087, 0.746, 0.290], [0.589, 0.975, 0.331], [0.989, 0.404, 0.915], [0.270, 0.877, 0.965], [0.270, 0.360, 0.558], [0.302, 0.236, 0.816], [0.252, 0.924, 0.461], [0.011, 0.602, 0.085], [0.973, 0.576, 0.590], [0.401, 0.987, 0.164], [0.023, 0.420, 0.423], [0.234, 0.300, 0.065], [0.713, 0.775, 0.681], [0.888, 0.273, 0.207], [0.770, 0.705, 0.936], [0.736, 0.659, 0.433], [0.733, 0.126, 0.036], [0.402, 0.985, 0.671], [0.118, 0.731, 0.790], [0.352, 0.261, 0.317], [0.597, 0.010, 0.838], [0.743, 0.076, 0.550], [0.327, 0.000, 0.064], [0.001, 0.674, 0.188], [0.674, 0.003, 0.939], [0.999, 0.328, 0.816], [0.013, 0.674, 0.692], [0.316, 0.004, 0.566], [0.009, 0.319, 0.309], [0.678, 0.007, 0.439], [0.648, 0.674, 0.584], [0.333, 0.343, 0.451], [0.675, 0.651, 0.326], [0.001, 0.343, 0.063], [0.666, 0.006, 0.690], [0.005, 0.669, 0.439], [0.002, 0.663, 0.939], [0.996, 0.334, 0.566], [0.345, 0.998, 0.313], [0.663, 0.003, 0.186], [0.340, 0.000, 0.815]]
}